A relaxed TlPb2Cl5 crystal. Source: the Materials Project, functional meta-GGA r2SCAN.

Properties
Formation energy from the elements ... -1.281 eV/atom
Calculated volume ... 28.07 A^3/atom
SG ... P2_1/c, No. 14

abc: 7.964 8.960 12.587
angles: 89.87 90.00 90.00
Positions (direct):
Tl: 0.953 0.512 0.832
Tl: 0.453 0.488 0.668
Tl: 0.047 0.488 0.168
Tl: 0.547 0.512 0.332
Pb: 0.508 0.007 0.324
Pb: 0.008 0.993 0.176
Pb: 0.492 0.993 0.676
Pb: 0.992 0.007 0.824
Pb: 0.566 0.253 0.006
Pb: 0.066 0.747 0.494
Pb: 0.434 0.747 0.994
Pb: 0.934 0.253 0.506
Cl: 0.845 0.776 0.313
Cl: 0.345 0.224 0.187
Cl: 0.155 0.224 0.687
Cl: 0.655 0.776 0.813
Cl: 0.813 0.230 0.279
Cl: 0.313 0.770 0.221
Cl: 0.187 0.770 0.721
Cl: 0.687 0.230 0.779
Cl: 0.675 0.540 0.083
Cl: 0.175 0.460 0.417
Cl: 0.325 0.460 0.917
Cl: 0.825 0.540 0.583
Cl: 0.835 0.958 0.599
Cl: 0.335 0.042 0.901
Cl: 0.165 0.042 0.401
Cl: 0.665 0.958 0.099
Cl: 0.958 0.218 0.002
Cl: 0.458 0.782 0.498
Cl: 0.042 0.782 0.998
Cl: 0.542 0.218 0.502